Density functional theory data (PBE with a Hubbard U) for a geometry-optimized Mg14BWO16 structure.

a b c (Å): 8.611 8.696 4.283
angles (deg): 90.00 90.00 90.00
Element x y z (fractional)
O  0.733  0.500  0.000
O  0.500  0.754  0.000
B  0.000  0.500  0.000
Mg  0.500  0.747  0.500
Mg  0.000  0.734  0.500
Mg  0.257  0.000  0.500
O  0.000  0.000  0.500
O  0.248  0.249  0.500
O  0.248  0.751  0.500
O  0.752  0.249  0.500
Mg  0.749  0.740  0.000
W  0.000  0.000  0.000
O  0.500  0.500  0.500
O  0.746  0.000  0.000
O  0.000  0.244  0.000
Mg  0.251  0.740  0.000
O  0.254  0.000  0.000
O  0.000  0.500  0.500
Mg  0.251  0.260  0.000
O  0.267  0.500  0.000
Mg  0.753  0.500  0.500
O  0.500  0.000  0.500
Mg  0.500  0.000  0.000
Mg  0.500  0.500  0.000
Mg  0.749  0.260  0.000
O  0.500  0.246  0.000
Mg  0.500  0.253  0.500
O  0.000  0.756  0.000
Mg  0.000  0.266  0.500
Mg  0.743  0.000  0.500
Mg  0.247  0.500  0.500
O  0.752  0.751  0.500

Calculated values
Crystal system: orthorhombic
E, eV per atom: -5.95
Energy of formation, eV per atom: -2.6449
Energy with MP2020 corrections, eV/atom: -6.43